# 1
Material: LuAlSi
Method: DFT, PBE
State: optimized geometry

For the formation energy, the calculation gives -0.563 eV/atom.

abc: 5.4152 5.4152 5.6119
angles: 90.00 90.00 136.86
Positions (direct):
1 Lu 0.6945 0.3055 0.7500
2 Lu 0.3055 0.6945 0.2500
3 Al 0.0000 0.0000 0.5000
4 Al 0.0000 0.0000 0.0000
5 Si 0.3979 0.6021 0.7500
6 Si 0.6021 0.3979 0.2500

***

# 2
Material: Hf2InNi2
Method: DFT, PBE
State: optimized geometry

For the formation energy, the calculation gives -0.506 eV/atom.

abc: 7.1727 7.1727 3.3266
angles: 90.00 90.00 90.00
Positions (direct):
1 Hf 0.1661 0.3339 0.0000
2 Hf 0.8339 0.6661 0.0000
3 Hf 0.6661 0.1661 0.0000
4 Hf 0.3339 0.8339 0.0000
5 In 0.0000 0.0000 0.5000
6 In 0.5000 0.5000 0.5000
7 Ni 0.3739 0.1261 0.5000
8 Ni 0.6261 0.8739 0.5000
9 Ni 0.8739 0.3739 0.5000
10 Ni 0.1261 0.6261 0.5000

***

# 3
Material: Mg3Si8Ir3
Method: DFT, PBE
State: optimized geometry

For the formation energy, the calculation gives -0.471 eV/atom.

abc: 8.6809 8.6809 8.6809
angles: 60.00 60.00 60.00
Positions (direct):
1 Mg 0.8503 0.8503 0.8503
2 Mg 0.8503 0.8503 0.4490
3 Mg 0.8503 0.4490 0.8503
4 Mg 0.5000 0.5000 0.5000
5 Mg 0.4490 0.8503 0.8503
6 Mg 0.2500 0.2500 0.2500
7 Si 0.8901 0.4705 0.4705
8 Si 0.7777 0.0741 0.0741
9 Si 0.4705 0.8901 0.1688
10 Si 0.4705 0.4705 0.8901
11 Si 0.4705 0.1688 0.4705
12 Si 0.8901 0.1688 0.4705
13 Si 0.1688 0.4705 0.4705
14 Si 0.1688 0.4705 0.8901
15 Si 0.0741 0.7777 0.0741
16 Si 0.4705 0.4705 0.1688
17 Si 0.8901 0.4705 0.1688
18 Si 0.1688 0.8901 0.4705
19 Si 0.4705 0.8901 0.4705
20 Si 0.0741 0.0741 0.7777
21 Si 0.4705 0.1688 0.8901
22 Si 0.0741 0.0741 0.0741
23 Ir 0.2450 0.7550 0.2450
24 Ir 0.7550 0.7550 0.2450
25 Ir 0.7550 0.2450 0.2450
26 Ir 0.2450 0.7550 0.7550
27 Ir 0.2450 0.2450 0.7550
28 Ir 0.7550 0.2450 0.7550

***

# 4
Material: SbP2SN3Cl10
Method: DFT, PBE
State: optimized geometry

The total magnetization is 0.000 μB/f.u. For the formation energy, the calculation gives -0.827 eV/atom.

abc: 8.9972 13.0156 16.3435
angles: 90.00 90.00 90.00
Positions (direct):
1 Sb 0.5000 0.5000 0.5000
2 Sb 0.5000 0.5000 0.0000
3 Sb 0.0000 0.0000 0.5000
4 Sb 0.0000 0.0000 0.0000
5 P 0.9748 0.6207 0.7500
6 P 0.0252 0.3793 0.2500
7 P 0.5468 0.0908 0.2500
8 P 0.5252 0.1207 0.7500
9 P 0.4748 0.8793 0.2500
10 P 0.4532 0.9092 0.7500
11 P 0.9532 0.5908 0.2500
12 P 0.0468 0.4092 0.7500
13 S 0.2758 0.5575 0.7500
14 S 0.7758 0.9425 0.2500
15 S 0.2242 0.0575 0.7500
16 S 0.7242 0.4425 0.2500
17 N 0.7242 0.0568 0.2500
18 N 0.0661 0.4977 0.2500
19 N 0.9339 0.5023 0.7500
20 N 0.4339 0.9977 0.2500
21 N 0.3439 0.1437 0.7500
22 N 0.8439 0.3563 0.2500
23 N 0.1561 0.6437 0.7500
24 N 0.5661 0.0023 0.7500
25 N 0.2758 0.9432 0.7500
26 N 0.2242 0.4432 0.7500
27 N 0.6561 0.8563 0.2500
28 N 0.7758 0.5568 0.2500
29 Cl 0.1242 0.8360 0.5130
30 Cl 0.3918 0.8080 0.1537
31 Cl 0.8758 0.1640 0.0130
32 Cl 0.2742 0.5870 0.9544
33 Cl 0.3758 0.3360 0.5130
34 Cl 0.5177 0.1812 0.1538
35 Cl 0.7742 0.9130 0.0456
36 Cl 0.1082 0.3080 0.3463
37 Cl 0.6242 0.6640 0.4870
38 Cl 0.8918 0.6920 0.6537
39 Cl 0.6082 0.1920 0.8463
40 Cl 0.5854 0.4871 0.8603
41 Cl 0.2258 0.0870 0.5456
42 Cl 0.0177 0.3188 0.6538
43 Cl 0.7742 0.9130 0.4544
44 Cl 0.4823 0.8188 0.6538
45 Cl 0.9146 0.9871 0.6397
46 Cl 0.9146 0.9871 0.8603
47 Cl 0.0854 0.0129 0.3603
48 Cl 0.7258 0.4130 0.0456
49 Cl 0.0854 0.0129 0.1397
50 Cl 0.4823 0.8188 0.8462
51 Cl 0.4146 0.5129 0.3603
52 Cl 0.0177 0.3188 0.8462
53 Cl 0.2258 0.0870 0.9544
54 Cl 0.8918 0.6920 0.8463
55 Cl 0.9823 0.6812 0.1538
56 Cl 0.7258 0.4130 0.4544
57 Cl 0.3918 0.8080 0.3463
58 Cl 0.5854 0.4871 0.6397
59 Cl 0.8758 0.1640 0.4870
60 Cl 0.4146 0.5129 0.1397
61 Cl 0.2742 0.5870 0.5456
62 Cl 0.5177 0.1812 0.3462
63 Cl 0.3758 0.3360 0.9870
64 Cl 0.6242 0.6640 0.0130
65 Cl 0.1082 0.3080 0.1537
66 Cl 0.6082 0.1920 0.6537
67 Cl 0.9823 0.6812 0.3462
68 Cl 0.1242 0.8360 0.9870